A plane-wave DFT calculation with GGA-PBE was carried out for a geometry-optimized Sm6Ge3S14 structure.

a = 10.1592 Å, b = 10.1592 Å, c = 5.7632 Å
α = 90.00°, β = 90.00°, γ = 120.00°
With the nearest neighbours (Å) after each atom.
Positions (direct):
1 Sm 0.0252 0.5648 0.0000  8 S 2.84-3.11
2 Sm 0.3088 0.1021 0.5054  8 S 2.85-3.13
3 Sm 0.4352 0.4604 0.0000  8 S 2.84-3.11
4 Sm 0.5396 0.9748 0.0000  8 S 2.84-3.11
5 Sm 0.7933 0.6912 0.5054  8 S 2.85-3.13
6 Sm 0.8979 0.2067 0.5054  8 S 2.85-3.13
7 Ge 0.0000 0.0000 0.9226  4 S 2.19-2.25
8 Ge 0.3333 0.6667 0.4190  4 S 2.20-2.24
9 Ge 0.6667 0.3333 0.2658  6 S 2.68-2.72
10 S 0.0000 0.0000 0.3033  1 Ge 2.19
11 S 0.0805 0.8509 0.7625  1 Ge 2.25
12 S 0.1491 0.2296 0.7625  1 Ge 2.25
13 S 0.1844 0.4372 0.2600  1 Ge 2.24
14 S 0.2528 0.8156 0.2600  1 Ge 2.24
15 S 0.3333 0.6667 0.8007  1 Ge 2.20
16 S 0.4096 0.1693 0.0248  1 Ge 2.68, 3 Sm 2.84-2.91
17 S 0.5000 0.4243 0.5166  1 Ge 2.72, 3 Sm 2.85-2.93
18 S 0.5628 0.7472 0.2600  1 Ge 2.24
19 S 0.5757 0.0757 0.5166  1 Ge 2.72, 3 Sm 2.85-2.93
20 S 0.7597 0.5904 0.0248  1 Ge 2.68, 3 Sm 2.84-2.91
21 S 0.7704 0.9195 0.7625  1 Ge 2.25
22 S 0.8307 0.2403 0.0248  1 Ge 2.68, 3 Sm 2.84-2.91
23 S 0.9243 0.5000 0.5166  1 Ge 2.72, 3 Sm 2.85-2.93

Computed properties:
**DFT formation energy**: -1.766 eV per atom

A plane-wave DFT calculation with GGA-PBE was carried out for a geometry-optimized PH30Pt2C10I2NCl2 structure.

a = 10.7053 Å, b = 9.3799 Å, c = 25.5761 Å
α = 90.00°, β = 91.28°, γ = 90.00°
With the nearest neighbours (Å) after each atom.
Positions (direct):
1 P 0.1574 0.0069 0.1313  1 N 1.65, 3 C 1.80
2 P 0.1574 0.4931 0.6313  1 N 1.65, 3 C 1.80
3 P 0.8426 0.5069 0.3687  1 N 1.65, 3 C 1.80
4 P 0.8426 0.9931 0.8687  1 N 1.65, 3 C 1.80
5 H 0.0115 0.7359 0.0200  1 C 1.10
6 H 0.0115 0.7641 0.5200  1 C 1.10
7 H 0.0256 0.6331 0.3436  1 C 1.10
8 H 0.0256 0.8669 0.8436  1 C 1.10
9 H 0.0388 0.5768 0.4106  1 C 1.09
10 H 0.0388 0.9232 0.9106  1 C 1.09
11 H 0.0578 0.2264 0.1073  1 C 1.10
12 H 0.0578 0.2736 0.6073  1 C 1.10
13 H 0.0618 0.1142 0.9491  1 C 1.10
14 H 0.0618 0.3858 0.4491  1 C 1.10
15 H 0.0763 0.6293 0.6909  1 N 1.03
16 H 0.0763 0.8707 0.1909  1 N 1.03
17 H 0.0897 0.5372 0.9378  1 C 1.10
18 H 0.0897 0.9628 0.4378  1 C 1.10
19 H 0.1443 0.5587 0.8721  1 C 1.10
20 H 0.1443 0.9413 0.3721  1 C 1.10
21 H 0.1510 0.1173 0.8375  1 C 1.10
22 H 0.1510 0.3827 0.3375  1 C 1.10
23 H 0.1518 0.2327 0.4671  1 C 1.10
24 H 0.1518 0.2673 0.9671  1 C 1.10
25 H 0.1921 0.6035 0.5486  1 C 1.10
26 H 0.1921 0.8965 0.0486  1 C 1.10
27 H 0.2090 0.2125 0.3176  1 C 1.10
28 H 0.2090 0.2875 0.8176  1 C 1.10
29 H 0.2105 0.1228 0.2118  1 C 1.10
30 H 0.2105 0.3772 0.7118  1 C 1.10
31 H 0.2139 0.6580 0.7669  1 C 1.10
32 H 0.2139 0.8420 0.2669  1 C 1.10
33 H 0.2257 0.0565 0.4171  1 C 1.10
34 H 0.2257 0.4435 0.9171  1 C 1.10
35 H 0.2302 0.0829 0.0473  1 C 1.10
36 H 0.2302 0.4171 0.5473  1 C 1.10
37 H 0.2521 0.2183 0.8806  1 C 1.10
38 H 0.2521 0.2817 0.3806  1 C 1.10
39 H 0.2648 0.2204 0.1569  1 C 1.10
40 H 0.2648 0.2796 0.6569  1 C 1.10
41 H 0.2914 0.6844 0.2902  1 C 1.10
42 H 0.2914 0.8156 0.7902  1 C 1.10
43 H 0.3237 0.0433 0.7455  1 C 1.10
44 H 0.3237 0.4567 0.2455  1 C 1.10
45 H 0.3349 0.5409 0.5776  1 C 1.10
46 H 0.3349 0.9591 0.0776  1 C 1.10
47 H 0.3484 0.0645 0.1791  1 C 1.09
48 H 0.3484 0.4355 0.6791  1 C 1.09
49 H 0.3530 0.6485 0.9719  1 C 1.09
50 H 0.3530 0.8515 0.4719  1 C 1.09
51 H 0.3812 0.6740 0.7631  1 C 1.10
52 H 0.3812 0.8260 0.2631  1 C 1.10
53 H 0.3950 0.0582 0.6828  1 C 1.10
54 H 0.3950 0.4418 0.1828  1 C 1.10
55 H 0.4186 0.6316 0.6461  1 C 1.09
56 H 0.4186 0.8684 0.1461  1 C 1.09
57 H 0.4635 0.5538 0.2324  1 C 1.10
58 H 0.4635 0.9462 0.7324  1 C 1.10
59 H 0.4752 0.6921 0.1347  1 C 1.10
60 H 0.4752 0.8079 0.6347  1 C 1.10
61 H 0.4821 0.6242 0.9280  1 C 1.09
62 H 0.4821 0.8758 0.4280  1 C 1.09
63 H 0.4989 0.7257 0.6974  1 C 1.10
64 H 0.4989 0.7743 0.1974  1 C 1.10
65 H 0.5011 0.2257 0.8026  1 C 1.10
66 H 0.5011 0.2743 0.3026  1 C 1.10
67 H 0.5179 0.1242 0.5720  1 C 1.09
68 H 0.5179 0.3758 0.0720  1 C 1.09
69 H 0.5248 0.1921 0.3653  1 C 1.10
70 H 0.5248 0.3079 0.8653  1 C 1.10
71 H 0.5365 0.0538 0.2676  1 C 1.10
72 H 0.5365 0.4462 0.7676  1 C 1.10
73 H 0.5814 0.1316 0.8539  1 C 1.09
74 H 0.5814 0.3684 0.3539  1 C 1.09
75 H 0.6050 0.5582 0.8172  1 C 1.10
76 H 0.6050 0.9418 0.3172  1 C 1.10
77 H 0.6188 0.1740 0.7369  1 C 1.10
78 H 0.6188 0.3260 0.2369  1 C 1.10
79 H 0.6470 0.1485 0.5281  1 C 1.09
80 H 0.6470 0.3515 0.0281  1 C 1.09
81 H 0.6516 0.5645 0.3209  1 C 1.09
82 H 0.6516 0.9355 0.8209  1 C 1.09
83 H 0.6651 0.0409 0.9224  1 C 1.10
84 H 0.6651 0.4591 0.4224  1 C 1.10
85 H 0.6763 0.5433 0.7545  1 C 1.10
86 H 0.6763 0.9567 0.2545  1 C 1.10
87 H 0.7086 0.1844 0.2098  1 C 1.10
88 H 0.7086 0.3156 0.7098  1 C 1.10
89 H 0.7352 0.7204 0.3431  1 C 1.10
90 H 0.7352 0.7796 0.8431  1 C 1.10
91 H 0.7479 0.7183 0.6194  1 C 1.10
92 H 0.7479 0.7817 0.1194  1 C 1.10
93 H 0.7698 0.5829 0.4527  1 C 1.10
94 H 0.7698 0.9171 0.9527  1 C 1.10
95 H 0.7743 0.5565 0.0829  1 C 1.10
96 H 0.7743 0.9435 0.5829  1 C 1.10
97 H 0.7861 0.1580 0.7331  1 C 1.10
98 H 0.7861 0.3420 0.2331  1 C 1.10
99 H 0.7895 0.6228 0.2882  1 C 1.10
100 H 0.7895 0.8772 0.7882  1 C 1.10
101 H 0.7910 0.7125 0.1824  1 C 1.10
102 H 0.7910 0.7875 0.6824  1 C 1.10
103 H 0.8079 0.1035 0.9514  1 C 1.10
104 H 0.8079 0.3965 0.4514  1 C 1.10
105 H 0.8482 0.7327 0.0329  1 C 1.10
106 H 0.8482 0.7673 0.5329  1 C 1.10
107 H 0.8490 0.6173 0.6625  1 C 1.10
108 H 0.8490 0.8827 0.1625  1 C 1.10
109 H 0.8557 0.0587 0.6279  1 C 1.10
110 H 0.8557 0.4413 0.1279  1 C 1.10
111 H 0.9103 0.0372 0.5622  1 C 1.10
112 H 0.9103 0.4628 0.0622  1 C 1.10
113 H 0.9237 0.1293 0.8091  1 N 1.03
114 H 0.9237 0.3707 0.3091  1 N 1.03
115 H 0.9382 0.6142 0.5509  1 C 1.10
116 H 0.9382 0.8858 0.0509  1 C 1.10
117 H 0.9422 0.7264 0.3927  1 C 1.10
118 H 0.9422 0.7736 0.8927  1 C 1.10
119 H 0.9612 0.0768 0.0894  1 C 1.09
120 H 0.9612 0.4232 0.5894  1 C 1.09
121 H 0.9744 0.1331 0.1564  1 C 1.10
122 H 0.9744 0.3669 0.6564  1 C 1.10
123 H 0.9885 0.2359 0.4800  1 C 1.10
124 H 0.9885 0.2641 0.9800  1 C 1.10
125 Pt 0.0185 0.1801 0.3800  3 C 2.06-2.07
126 Pt 0.0185 0.3199 0.8800  3 C 2.06-2.07
127 Pt 0.2662 0.6785 0.1871  3 C 2.06-2.07
128 Pt 0.2662 0.8215 0.6871  3 C 2.06-2.07
129 Pt 0.7338 0.1785 0.3129  3 C 2.06-2.07
130 Pt 0.7338 0.3215 0.8129  3 C 2.06-2.07
131 Pt 0.9815 0.6801 0.1200  3 C 2.06-2.07
132 Pt 0.9815 0.8199 0.6200  3 C 2.06-2.07
133 C 0.0241 0.1210 0.1196  3 H 1.09-1.10
134 C 0.0241 0.3790 0.6196  3 H 1.09-1.10
135 C 0.0600 0.2308 0.9524  3 H 1.10
136 C 0.0600 0.2692 0.4524  3 H 1.10
137 C 0.1333 0.0162 0.4046  3 H 1.10
138 C 0.1333 0.4838 0.9046  3 H 1.10
139 C 0.1767 0.2247 0.8509  3 H 1.10
140 C 0.1767 0.2753 0.3509  3 H 1.10
141 C 0.2361 0.5155 0.5704  3 H 1.10
142 C 0.2361 0.9845 0.0704  3 H 1.10
143 C 0.2560 0.1133 0.1740  3 H 1.09-1.10
144 C 0.2560 0.3867 0.6740  3 H 1.09-1.10
145 C 0.2920 0.7315 0.7603  3 H 1.10
146 C 0.2920 0.7685 0.2603  3 H 1.10
147 C 0.3751 0.5139 0.2154  3 H 1.10
148 C 0.3751 0.9861 0.7154  3 H 1.10
149 C 0.4340 0.7367 0.6637  3 H 1.09-1.10
150 C 0.4340 0.7633 0.1637  3 H 1.09-1.10
151 C 0.4362 0.6965 0.9551  2 H 1.09
152 C 0.4362 0.8035 0.4551  2 H 1.09
153 C 0.5638 0.1965 0.5449  2 H 1.09
154 C 0.5638 0.3035 0.0449  2 H 1.09
155 C 0.5660 0.2367 0.8363  3 H 1.09-1.10
156 C 0.5660 0.2633 0.3363  3 H 1.09-1.10
157 C 0.6249 0.0139 0.2846  3 H 1.10
158 C 0.6249 0.4861 0.7846  3 H 1.10
159 C 0.7080 0.2315 0.7397  3 H 1.10
160 C 0.7080 0.2685 0.2397  3 H 1.10
161 C 0.7440 0.6133 0.3260  3 H 1.09-1.10
162 C 0.7440 0.8867 0.8260  3 H 1.09-1.10
163 C 0.7639 0.0155 0.9296  3 H 1.10
164 C 0.7639 0.4845 0.4296  3 H 1.10
165 C 0.8233 0.7247 0.6491  3 H 1.10
166 C 0.8233 0.7753 0.1491  3 H 1.10
167 C 0.8667 0.5162 0.0954  3 H 1.10
168 C 0.8667 0.9838 0.5954  3 H 1.10
169 C 0.9400 0.7308 0.5476  3 H 1.10
170 C 0.9400 0.7692 0.0476  3 H 1.10
171 C 0.9759 0.6210 0.3804  3 H 1.09-1.10
172 C 0.9759 0.8790 0.8804  3 H 1.09-1.10
173 I 0.0388 0.5542 0.2188  2 Pt 2.83-2.84, 3 H 3.08-3.16
174 I 0.0388 0.9458 0.7188  2 Pt 2.83-2.84, 3 H 3.08-3.16
175 I 0.2100 0.5559 0.0868  2 Pt 2.86, 1 H 3.18
176 I 0.2100 0.9441 0.5868  2 Pt 2.86, 1 H 3.18
177 I 0.7900 0.0559 0.4132  2 Pt 2.86, 1 H 3.18
178 I 0.7900 0.4441 0.9132  2 Pt 2.86, 1 H 3.18
179 I 0.9612 0.0542 0.2812  2 Pt 2.83-2.84, 3 H 3.08-3.16
180 I 0.9612 0.4458 0.7812  2 Pt 2.83-2.84, 3 H 3.08-3.16
181 N 0.1213 0.6495 0.6564  1 H 1.03
182 N 0.1213 0.8505 0.1564  1 H 1.03
183 N 0.8787 0.1495 0.8436  1 H 1.03
184 N 0.8787 0.3505 0.3436  1 H 1.03
185 Cl 0.3896 0.6484 0.4198  1 C 1.78
186 Cl 0.3896 0.8516 0.9198  1 C 1.78
187 Cl 0.4568 0.2352 0.4928  1 C 1.78
188 Cl 0.4568 0.2648 0.9928  1 C 1.78
189 Cl 0.5432 0.7352 0.0072  1 C 1.78
190 Cl 0.5432 0.7648 0.5072  1 C 1.78
191 Cl 0.6104 0.1484 0.0802  1 C 1.78
192 Cl 0.6104 0.3516 0.5802  1 C 1.78

Computed properties:
**DFT formation energy**: -0.176 eV per atom
**Magnetization**: 0.0 μB per formula unit

| no. | VASP energy (eV per atom) |
| --- | --- |
| 1 | -5.812 |
| 2 | -4.874 |